[1]
The following is a DFT calculation (PBE) of CeGaAg after structural relaxation.

## Properties
Volume   22.34 Å³ per atom
Formation enthalpy at 0 K   -39.8 kJ/mol of atoms
Total energy   -4.344 eV/atom
Symmetry   Imm2 (44)

The structure in POSCAR format:
```
CeGaAg
1.0
3.698 -2.330 3.908
4.030 3.577 -2.310
-4.913 0.930 3.062
Ce Ga Ag
2 2 2
direct
0.068 0.068 0.000 Ce
0.504 0.004 0.500 Ce
0.503 0.700 0.803 Ga
0.898 0.700 0.197 Ga
0.081 0.370 0.711 Ag
0.659 0.370 0.289 Ag
```

=====

[2]
The following is a DFT calculation (PBE) of AlH2PbO2F3 after structural relaxation.

## Properties
Size of the total moment   0.00 μB/cell
Volume   11.45 Å³ per atom
Total energy after the MP2020 corrections   -5.87 eV/atom
Formation enthalpy at 0 K   -246.2 kJ/mol of atoms
Total energy   -5.565 eV/atom
Symmetry   P-1 (2)

The structure in POSCAR format:
```
AlH2PbO2F3
1.0
-5.082 0.000 0.000
1.936 6.097 0.000
-0.047 -1.924 -6.651
Al H Pb O F
2 4 2 4 6
direct
0.162 0.185 0.674 Al
0.838 0.815 0.326 Al
0.734 0.186 0.477 H
0.266 0.814 0.523 H
0.732 0.144 0.862 H
0.268 0.856 0.138 H
0.796 0.689 0.807 Pb
0.204 0.311 0.193 Pb
0.901 0.136 0.453 O
0.099 0.864 0.547 O
0.904 0.103 0.863 O
0.096 0.897 0.137 O
0.429 0.206 0.863 F
0.571 0.794 0.137 F
0.445 0.260 0.511 F
0.555 0.740 0.489 F
0.188 0.486 0.772 F
0.812 0.514 0.228 F
```

=====

[3]
The following is a DFT calculation (PBE) of ThTc3 after structural relaxation.

## Properties
Size of the total moment   0.41 μB/cell
Volume   17.88 Å³ per atom
Formation enthalpy at 0 K   25.7 kJ/mol of atoms
Total energy   -9.358 eV/atom
Symmetry   I4/mmm (139)

The structure in POSCAR format:
```
ThTc3
1.0
3.008 3.174 1.881
-1.855 -0.057 4.383
1.401 -3.910 -2.326
Th Tc
1 3
direct
0.000 0.000 0.000 Th
0.750 0.250 0.500 Tc
0.250 0.750 0.500 Tc
0.500 0.500 0.000 Tc
```

=====

[4]
The following is a DFT calculation (PBE) of NaYPO4F after structural relaxation.

## Properties
Size of the total moment   0.00 μB/cell
Volume   12.45 Å³ per atom
Total energy after the MP2020 corrections   -7.71 eV/atom
Formation enthalpy at 0 K   -322.7 kJ/mol of atoms
Total energy   -7.307 eV/atom
Symmetry   C2/m (12)

The structure in POSCAR format:
```
NaYPO4F
1.0
-3.167 -4.160 2.311
-3.082 -2.028 -4.366
3.294 -5.401 -1.683
Na Y P O F
2 2 2 8 2
direct
0.293 0.707 0.500 Na
0.707 0.293 0.500 Na
0.282 0.282 0.117 Y
0.718 0.718 0.883 Y
0.154 0.154 0.723 P
0.846 0.846 0.277 P
0.017 0.017 0.272 O
0.983 0.983 0.728 O
0.257 0.257 0.492 O
0.743 0.743 0.508 O
0.020 0.371 0.845 O
0.980 0.629 0.155 O
0.629 0.980 0.155 O
0.371 0.020 0.845 O
0.482 0.482 0.810 F
0.518 0.518 0.190 F
```

=====

[5]
The following is a DFT calculation (PBE) of EuZr3F15 after structural relaxation.

## Properties
Size of the total moment   23.91 μB/cell
Volume   14.16 Å³ per atom
Total energy after the MP2020 corrections   -7.37 eV/atom
Formation enthalpy at 0 K   -382.9 kJ/mol of atoms
Total energy   -7.005 eV/atom
Symmetry   P-1 (2)

The structure in POSCAR format:
```
EuZr3F15
1.0
-0.399 -6.212 -5.466
-2.129 -4.013 6.924
-14.236 7.787 -3.372
Eu F Zr
4 60 12
direct
0.324 0.178 0.875 Eu
0.251 0.678 0.412 Eu
0.749 0.322 0.588 Eu
0.676 0.822 0.125 Eu
0.035 0.465 0.881 F
0.035 0.152 0.840 F
0.997 0.215 0.610 F
0.189 0.652 0.780 F
0.243 0.951 0.762 F
0.023 0.453 0.366 F
0.310 0.931 0.924 F
0.148 0.687 0.535 F
0.054 0.155 0.343 F
0.996 0.229 0.114 F
0.345 0.465 0.908 F
0.273 0.281 0.749 F
0.276 0.507 0.640 F
0.176 0.655 0.265 F
0.252 0.968 0.268 F
0.318 0.965 0.423 F
0.223 0.227 0.496 F
0.224 0.993 0.612 F
0.151 0.687 0.026 F
0.447 0.811 0.674 F
0.496 0.725 0.861 F
0.349 0.432 0.405 F
0.275 0.275 0.254 F
0.550 0.254 0.988 F
0.276 0.505 0.136 F
0.475 0.754 0.525 F
0.217 0.223 0.001 F
0.223 0.996 0.112 F
0.501 0.274 0.641 F
0.569 0.184 0.825 F
0.431 0.816 0.175 F
0.499 0.726 0.359 F
0.777 0.004 0.888 F
0.783 0.777 0.999 F
0.525 0.246 0.475 F
0.724 0.495 0.864 F
0.450 0.746 0.012 F
0.725 0.725 0.746 F
0.651 0.568 0.595 F
0.504 0.275 0.139 F
0.553 0.189 0.326 F
0.849 0.313 0.974 F
0.776 0.007 0.388 F
0.777 0.773 0.504 F
0.682 0.035 0.577 F
0.748 0.032 0.732 F
0.824 0.345 0.735 F
0.724 0.493 0.360 F
0.727 0.719 0.251 F
0.655 0.535 0.092 F
0.004 0.771 0.886 F
0.946 0.845 0.657 F
0.852 0.313 0.465 F
0.690 0.069 0.076 F
0.977 0.547 0.634 F
0.757 0.049 0.238 F
0.811 0.348 0.220 F
0.003 0.785 0.390 F
0.965 0.848 0.160 F
0.965 0.535 0.119 F
0.243 0.676 0.912 Zr
0.178 0.748 0.663 Zr
0.249 0.248 0.623 Zr
0.176 0.750 0.160 Zr
0.321 0.176 0.372 Zr
0.253 0.251 0.126 Zr
0.747 0.749 0.874 Zr
0.679 0.824 0.628 Zr
0.824 0.250 0.840 Zr
0.751 0.752 0.377 Zr
0.822 0.252 0.337 Zr
0.757 0.324 0.088 Zr
```

=====

[6]
The following is a DFT calculation (PBE) of GdCo2 after structural relaxation.

## Properties
Size of the total moment   10.17 μB/cell
Volume   15.78 Å³ per atom
Formation enthalpy at 0 K   147.8 kJ/mol of atoms
Total energy   -7.899 eV/atom
Symmetry   Fd-3m (227)

The structure in POSCAR format:
```
GdCo2
1.0
0.000 3.618 3.618
3.618 0.000 3.618
3.618 3.618 0.000
Gd Co
2 4
direct
0.250 0.250 0.250 Gd
0.000 0.000 0.000 Gd
0.625 0.625 0.125 Co
0.625 0.125 0.625 Co
0.125 0.625 0.625 Co
0.625 0.625 0.625 Co
```

=====

[7]
The following is a DFT calculation (PBE) of Fe2Sn after structural relaxation.

## Properties
Size of the total moment   8.90 μB/cell
Volume   14.80 Å³ per atom
Formation enthalpy at 0 K   19.2 kJ/mol of atoms
Total energy   -6.785 eV/atom
Symmetry   P6_3/mmc (194)

The structure in POSCAR format:
```
Fe2Sn
1.0
-1.920 3.541 -1.799
-1.979 -3.936 -0.226
-2.464 0.977 4.552
Fe Sn
4 2
direct
0.000 0.000 0.000 Fe
0.000 0.000 0.500 Fe
0.333 0.667 0.250 Fe
0.667 0.333 0.750 Fe
0.333 0.667 0.750 Sn
0.667 0.333 0.250 Sn
```

=====

[8]
The following is a DFT calculation (PBE) of YMg2 after structural relaxation.

## Properties
Size of the total moment   0.00 μB/cell
Volume   26.78 Å³ per atom
Formation enthalpy at 0 K   3.7 kJ/mol of atoms
Total energy   -3.184 eV/atom
Symmetry   P6_3/mmc (194)

The structure in POSCAR format:
```
YMg2
1.0
1.666 -2.886 0.000
1.666 2.886 0.000
0.000 0.000 16.709
Y Mg
2 4
direct
0.667 0.333 0.750 Y
0.333 0.667 0.250 Y
0.333 0.667 0.921 Mg
0.333 0.667 0.579 Mg
0.667 0.333 0.421 Mg
0.667 0.333 0.079 Mg
```

=====

[9]
The following is a DFT calculation (PBE) of Sm26Ga6Co11 after structural relaxation.

## Properties
Size of the total moment   0.01 μB/cell
Volume   24.16 Å³ per atom
Formation enthalpy at 0 K   -23.5 kJ/mol of atoms
Total energy   -5.337 eV/atom
Symmetry   P4/mbm (127)

The structure in POSCAR format:
```
Sm26Ga6Co11
1.0
11.671 0.000 0.000
0.000 11.671 0.000
0.000 0.000 15.256
Sm Ga Co
52 12 22
direct
0.920 0.795 0.311 Sm
0.205 0.920 0.311 Sm
0.658 0.158 0.000 Sm
0.927 0.201 0.885 Sm
0.342 0.842 0.000 Sm
0.573 0.701 0.885 Sm
0.580 0.295 0.689 Sm
0.427 0.299 0.885 Sm
0.296 0.584 0.500 Sm
0.416 0.296 0.500 Sm
0.205 0.920 0.689 Sm
0.584 0.704 0.500 Sm
0.500 0.000 0.157 Sm
0.420 0.705 0.311 Sm
0.500 0.000 0.843 Sm
0.000 0.500 0.384 Sm
0.084 0.796 0.500 Sm
0.795 0.080 0.311 Sm
0.295 0.420 0.689 Sm
0.842 0.658 0.000 Sm
0.080 0.205 0.689 Sm
0.000 0.500 0.157 Sm
0.701 0.427 0.115 Sm
0.000 0.500 0.616 Sm
0.073 0.799 0.115 Sm
0.916 0.204 0.500 Sm
0.705 0.580 0.311 Sm
0.427 0.299 0.115 Sm
0.201 0.073 0.115 Sm
0.705 0.580 0.689 Sm
0.927 0.201 0.115 Sm
0.796 0.916 0.500 Sm
0.580 0.295 0.311 Sm
0.201 0.073 0.885 Sm
0.704 0.416 0.500 Sm
0.073 0.799 0.885 Sm
0.000 0.500 0.843 Sm
0.799 0.927 0.885 Sm
0.573 0.701 0.115 Sm
0.500 0.000 0.384 Sm
0.299 0.573 0.115 Sm
0.080 0.205 0.311 Sm
0.295 0.420 0.311 Sm
0.795 0.080 0.689 Sm
0.920 0.795 0.689 Sm
0.701 0.427 0.885 Sm
0.158 0.342 0.000 Sm
0.204 0.084 0.500 Sm
0.500 0.000 0.616 Sm
0.420 0.705 0.689 Sm
0.299 0.573 0.885 Sm
0.799 0.927 0.115 Sm
0.838 0.338 0.291 Ga
0.152 0.348 0.500 Ga
0.338 0.162 0.291 Ga
0.162 0.662 0.291 Ga
0.162 0.662 0.709 Ga
0.338 0.162 0.709 Ga
0.348 0.848 0.500 Ga
0.652 0.152 0.500 Ga
0.662 0.838 0.709 Ga
0.662 0.838 0.291 Ga
0.848 0.652 0.500 Ga
0.838 0.338 0.709 Ga
0.094 0.594 0.000 Co
0.806 0.694 0.179 Co
0.594 0.906 0.000 Co
0.500 0.500 0.590 Co
0.500 0.500 0.226 Co
0.000 0.000 0.590 Co
0.000 0.000 0.410 Co
0.000 0.000 0.226 Co
0.500 0.500 0.410 Co
0.500 0.500 0.774 Co
0.694 0.194 0.821 Co
0.694 0.194 0.179 Co
0.406 0.094 0.000 Co
0.000 0.000 0.000 Co
0.194 0.306 0.821 Co
0.000 0.000 0.774 Co
0.906 0.406 0.000 Co
0.194 0.306 0.179 Co
0.500 0.500 0.000 Co
0.306 0.806 0.821 Co
0.806 0.694 0.821 Co
0.306 0.806 0.179 Co
```

=====

[10]
The following is a DFT calculation (PBE) of NbInTe2O8 after structural relaxation.

## Properties
Size of the total moment   0.00 μB/cell
Volume   14.04 Å³ per atom
Total energy after the MP2020 corrections   -6.95 eV/atom
Formation enthalpy at 0 K   -198.3 kJ/mol of atoms
Total energy   -6.491 eV/atom
Symmetry   Pca2_1 (29)

The structure in POSCAR format:
```
NbInTe2O8
1.0
7.811 0.000 0.000
0.000 7.812 0.000
0.000 0.000 11.045
Nb In Te O
4 4 8 32
direct
0.531 0.520 0.000 Nb
0.469 0.020 0.000 Nb
0.969 0.020 0.000 Nb
0.031 0.520 0.000 Nb
0.496 0.526 0.513 In
0.504 0.026 0.487 In
0.004 0.026 0.513 In
0.996 0.526 0.487 In
0.791 0.672 0.753 Te
0.209 0.172 0.247 Te
0.709 0.172 0.753 Te
0.291 0.672 0.247 Te
0.264 0.766 0.713 Te
0.736 0.266 0.287 Te
0.236 0.266 0.713 Te
0.764 0.766 0.287 Te
0.583 0.593 0.828 O
0.417 0.093 0.172 O
0.917 0.093 0.828 O
0.083 0.593 0.172 O
0.520 0.284 0.963 O
0.480 0.784 0.037 O
0.980 0.784 0.963 O
0.020 0.284 0.037 O
0.756 0.533 0.052 O
0.244 0.033 0.948 O
0.744 0.033 0.052 O
0.256 0.533 0.948 O
0.931 0.498 0.824 O
0.069 0.998 0.176 O
0.569 0.998 0.824 O
0.431 0.498 0.176 O
0.748 0.543 0.604 O
0.252 0.043 0.396 O
0.752 0.043 0.604 O
0.248 0.543 0.396 O
0.053 0.726 0.625 O
0.947 0.226 0.375 O
0.447 0.226 0.625 O
0.553 0.726 0.375 O
0.314 0.515 0.662 O
0.686 0.015 0.338 O
0.186 0.015 0.662 O
0.814 0.515 0.338 O
0.437 0.797 0.590 O
0.563 0.297 0.410 O
0.063 0.297 0.590 O
0.937 0.797 0.410 O
```

=====

[11]
The following is a DFT calculation (PBE) of Ba3YIrRuO9 after structural relaxation.

## Properties
Size of the total moment   4.01 μB/cell
Volume   15.04 Å³ per atom
Total energy after the MP2020 corrections   -7.57 eV/atom
Formation enthalpy at 0 K   -248.9 kJ/mol of atoms
Total energy   -7.158 eV/atom
Symmetry   P6_3mc (186)

The structure in POSCAR format:
```
Ba3YIrRuO9
1.0
-2.926 4.181 3.053
-2.993 -4.460 -2.552
1.417 -7.990 12.298
Ba Y Ir Ru O
6 2 2 2 18
direct
0.667 0.333 0.405 Ba
0.333 0.667 0.596 Ba
0.333 0.667 0.905 Ba
0.667 0.333 0.096 Ba
0.000 0.000 0.750 Ba
0.000 0.000 0.250 Ba
0.000 0.000 0.501 Y
0.000 0.000 0.001 Y
0.667 0.333 0.665 Ir
0.333 0.667 0.165 Ir
0.333 0.667 0.336 Ru
0.667 0.333 0.836 Ru
0.510 0.019 0.750 O
0.510 0.490 0.750 O
0.981 0.490 0.750 O
0.490 0.981 0.250 O
0.490 0.510 0.250 O
0.019 0.510 0.250 O
0.824 0.648 0.911 O
0.824 0.176 0.911 O
0.352 0.176 0.911 O
0.175 0.351 0.088 O
0.175 0.825 0.088 O
0.649 0.825 0.088 O
0.176 0.352 0.411 O
0.176 0.824 0.411 O
0.648 0.824 0.411 O
0.825 0.649 0.588 O
0.825 0.175 0.588 O
0.351 0.175 0.588 O
```